1.
This record from the Materials Project describes a relaxed structure of BiP2O7. The functional is PBE.

a b c (Å): 6.5434 6.7780 6.9309
angles (deg): 90.99 108.07 92.27
Last column: nearest neighbours and their distance in Å.
Fractional positions:
O  0.8665  0.6475  0.5624  1 P 1.53
O  0.5212  0.2802  0.6370  2 P 1.61-1.63
O  0.4788  0.7198  0.3630  2 P 1.61-1.63
P  0.7102  0.6538  0.3460  4 O 1.53-1.63
O  0.1877  0.9365  0.3838  1 P 1.54
O  0.8198  0.1987  0.9607  1 P 1.54
Bi  0.1850  0.8493  0.7202  6 O 2.25-2.42
O  0.6601  0.4479  0.2432  1 P 1.53
P  0.3251  0.8891  0.2456  4 O 1.53-1.61
O  0.2244  0.1965  0.7892  1 P 1.53
P  0.6749  0.1109  0.7544  4 O 1.53-1.61
Bi  0.8150  0.1507  0.2798  6 O 2.25-2.42
O  0.4578  0.0714  0.2188  1 P 1.53
O  0.5422  0.9286  0.7812  1 P 1.53
O  0.7756  0.8035  0.2108  1 P 1.53
O  0.8123  0.0635  0.6162  1 P 1.54
P  0.2898  0.3462  0.6540  4 O 1.53-1.63
O  0.1802  0.8013  0.0393  1 P 1.54
O  0.3399  0.5521  0.7568  1 P 1.53
O  0.1335  0.3525  0.4376  1 P 1.53

Results
* mass density: 4.36 g cm⁻³
* SG: No. 2
* E (MP2020): -7.203 eV per atom
* energy: -134.5 eV for the cell shown
* energy of formation from the pure elements: -2.268 eV/atom

---

2.
This record from the Materials Project describes a relaxed structure of Bi3P2O10. The functional is PBE.

a b c (Å): 6.9405 7.7730 9.3251
angles (deg): 106.73 92.47 112.69
Last column: nearest neighbours and their distance in Å.
Fractional positions:
O  0.5623  0.5323  0.3679  3 Bi 2.21-2.33
O  0.4807  0.1253  0.6456  1 P 1.57
Bi  0.3374  0.6328  0.5098  4 O 2.21-2.46
O  0.1268  0.3286  0.1518  1 P 1.54
Bi  0.4399  0.2970  0.0825  4 O 2.21-2.38
Bi  0.6626  0.3672  0.4902  4 O 2.21-2.46
O  0.7774  0.3097  0.2378  1 P 1.56
P  0.9554  0.2342  0.2395  4 O 1.54-1.57
O  0.9514  0.7006  0.5871  1 P 1.57
O  0.2226  0.6903  0.7622  1 P 1.56
O  0.6360  0.1696  0.9166  1 P 1.54
O  0.3406  0.3980  0.8968  3 Bi 2.10-2.28
O  0.6284  0.8890  0.6934  1 P 1.57
Bi  0.5601  0.7030  0.9175  4 O 2.21-2.38
P  0.6537  0.1088  0.7475  4 O 1.54-1.57
O  0.8608  0.0040  0.1710  1 P 1.56
O  0.8706  0.2409  0.7176  1 P 1.55
O  0.8732  0.6714  0.8482  1 P 1.54
O  0.0486  0.2994  0.4129  1 P 1.57
Bi  0.8165  0.8020  0.3213  5 O 2.10-2.35
O  0.1294  0.7591  0.2824  1 P 1.55
P  0.0446  0.7658  0.7605  4 O 1.54-1.57
O  0.5193  0.8747  0.3544  1 P 1.57
P  0.3463  0.8912  0.2525  4 O 1.54-1.57
O  0.6594  0.6020  0.1032  3 Bi 2.10-2.28
Bi  0.1835  0.1980  0.6787  5 O 2.10-2.35
O  0.3640  0.8304  0.0834  1 P 1.54
O  0.1392  0.9960  0.8290  1 P 1.56
O  0.4377  0.4677  0.6321  3 Bi 2.21-2.33
O  0.3716  0.1110  0.3066  1 P 1.57

Results
* mass density: 6.44 g cm⁻³
* SG: No. 2
* E (MP2020): -6.950 eV per atom
* energy: -194.7 eV for the cell shown
* energy of formation from the pure elements: -2.151 eV/atom